# 1
A plane-wave DFT calculation with PBE was carried out for a geometry-optimized SrZr12B2I5Cl23 structure.

a b c (Å): 13.5394 13.6208 13.5561
angles (deg): 90.00 90.31 90.00
Fractional positions:
Sr 0.0000 0.0280 0.0000
Sr 0.0000 0.9720 0.5000
Zr 0.1239 0.3172 0.2370
Zr 0.1239 0.6828 0.7370
Zr 0.2151 0.2098 0.4321
Zr 0.2151 0.7902 0.9321
Zr 0.2347 0.1022 0.2170
Zr 0.2347 0.8978 0.7170
Zr 0.3221 0.4046 0.3440
Zr 0.3221 0.5954 0.8440
Zr 0.3377 0.2981 0.1284
Zr 0.3377 0.7019 0.6284
Zr 0.4282 0.1895 0.3267
Zr 0.4282 0.8105 0.8267
Zr 0.6185 0.3160 0.8268
Zr 0.6185 0.6840 0.3268
Zr 0.7061 0.2097 0.6296
Zr 0.7061 0.7903 0.1296
Zr 0.7223 0.1006 0.8425
Zr 0.7223 0.8994 0.3425
Zr 0.8171 0.4039 0.7174
Zr 0.8171 0.5961 0.2174
Zr 0.8346 0.3043 0.9338
Zr 0.8346 0.6957 0.4338
Zr 0.9226 0.1927 0.7374
Zr 0.9226 0.8073 0.2374
B 0.2769 0.2543 0.2804
B 0.2769 0.7457 0.7804
B 0.7700 0.2536 0.7826
B 0.7700 0.7464 0.2826
I 0.1389 0.1163 0.6470
I 0.1389 0.8837 0.1470
I 0.4030 0.3799 0.9109
I 0.4030 0.6201 0.4109
I 0.6442 0.1187 0.4090
I 0.6442 0.8813 0.9090
I 0.7864 0.1298 0.0491
I 0.7864 0.8702 0.5491
I 0.9044 0.3839 0.1494
I 0.9044 0.6161 0.6494
Cl 0.0118 0.2287 0.9027
Cl 0.0118 0.7713 0.4027
Cl 0.0378 0.2667 0.3978
Cl 0.0378 0.7333 0.8978
Cl 0.0553 0.1505 0.1675
Cl 0.0553 0.8495 0.6675
Cl 0.1571 0.4878 0.3028
Cl 0.1571 0.5122 0.8028
Cl 0.1618 0.0319 0.3786
Cl 0.1618 0.9681 0.8786
Cl 0.1741 0.3683 0.0650
Cl 0.1741 0.6317 0.5650
Cl 0.2546 0.3695 0.5173
Cl 0.2546 0.6305 0.0173
Cl 0.2920 0.1345 0.0428
Cl 0.2920 0.8655 0.5428
Cl 0.3720 0.1309 0.4967
Cl 0.3720 0.8691 0.9967
Cl 0.3927 0.0154 0.2617
Cl 0.3927 0.9846 0.7617
Cl 0.3936 0.4672 0.1825
Cl 0.3936 0.5328 0.6825
Cl 0.4917 0.3486 0.4016
Cl 0.4917 0.6514 0.9016
Cl 0.5107 0.2296 0.1625
Cl 0.5107 0.7704 0.6625
Cl 0.5340 0.2727 0.6637
Cl 0.5340 0.7273 0.1637
Cl 0.5546 0.1542 0.8986
Cl 0.5546 0.8458 0.3986
Cl 0.6482 0.0407 0.6831
Cl 0.6482 0.9593 0.1831
Cl 0.6550 0.4879 0.7600
Cl 0.6550 0.5121 0.2600
Cl 0.6742 0.3742 0.9961
Cl 0.6742 0.6258 0.4961
Cl 0.7531 0.3681 0.5432
Cl 0.7531 0.6319 0.0432
Cl 0.8719 0.1364 0.5632
Cl 0.8719 0.8636 0.0632
Cl 0.8918 0.0141 0.8035
Cl 0.8918 0.9859 0.3035
Cl 0.8946 0.4685 0.8770
Cl 0.8946 0.5315 0.3770
Cl 0.9892 0.3481 0.6637
Cl 0.9892 0.6519 0.1637

Results
**Energy with MP2020 corrections**: -5.90 eV/atom
**Symmetry**: Pc, No. 7
**Energy relative to the elements**: -1998 meV/atom
**E**: -5.571 eV/atom
**Total moment**: 0.00 μB/f.u.

# 2
A plane-wave DFT calculation with PBE was carried out for a geometry-optimized KZn2BCl2O3 structure.

a b c (Å): 9.5139 9.5139 9.5139
angles (deg): 30.50 30.50 30.50
Fractional positions:
K 0.0000 0.0000 0.0000
Zn 0.1943 0.1943 0.1943
Zn 0.8057 0.8057 0.8057
B 0.5000 0.5000 0.5000
Cl 0.2780 0.2780 0.2780
Cl 0.7220 0.7220 0.7220
O 0.2233 0.5000 0.7767
O 0.5000 0.7767 0.2233
O 0.7767 0.2233 0.5000

Results
**Energy with MP2020 corrections**: -5.28 eV/atom
**Symmetry**: R32, No. 155
**Energy relative to the elements**: -2078 meV/atom
**Maximum piezoelectric response**: 0.42 C/m2
**E**: -5.055 eV/atom
**Total moment**: 0.00 μB/f.u.

# 3
A plane-wave DFT calculation with PBE was carried out for a geometry-optimized La4B4Cl5 structure.

a b c (Å): 8.6686 8.6686 9.3761
angles (deg): 119.57 119.57 28.63
Fractional positions:
La 0.0604 0.0604 0.2976
La 0.3399 0.3399 0.2633
La 0.6601 0.6601 0.7367
La 0.9396 0.9396 0.7024
B 0.1854 0.8146 0.5000
B 0.4760 0.4760 0.5768
B 0.5240 0.5240 0.4232
B 0.8146 0.1854 0.5000
Cl 0.1488 0.1488 0.9433
Cl 0.2526 0.2526 0.6517
Cl 0.5000 0.5000 0.0000
Cl 0.7474 0.7474 0.3483
Cl 0.8512 0.8512 0.0567

Results
**Energy with MP2020 corrections**: -6.02 eV/atom
**Symmetry**: C2/m, No. 12
**Energy relative to the elements**: -1738 meV/atom
**E**: -5.787 eV/atom

# 4
A plane-wave DFT calculation with PBE was carried out for a geometry-optimized LaB2ClO4 structure.

a b c (Å): 4.2668 6.6696 8.2660
angles (deg): 81.93 89.29 72.16
Fractional positions:
La 0.2113 0.0328 0.2221
La 0.7887 0.9672 0.7779
B 0.1648 0.3499 0.8526
B 0.4385 0.4373 0.1928
B 0.5615 0.5627 0.8072
B 0.8352 0.6501 0.1474
Cl 0.1477 0.2002 0.5433
Cl 0.8523 0.7998 0.4567
O 0.1008 0.4649 0.1770
O 0.1611 0.1544 0.9202
O 0.3653 0.7638 0.7918
O 0.4754 0.3756 0.8184
O 0.5246 0.6244 0.1816
O 0.6347 0.2362 0.2082
O 0.8389 0.8456 0.0798
O 0.8992 0.5351 0.8230

Results
**Energy with MP2020 corrections**: -8.06 eV/atom
**Symmetry**: P-1, No. 2
**Energy relative to the elements**: -3067 meV/atom
**E**: -7.715 eV/atom
**Total moment**: 0.00 μB/f.u.